Below is TlMo2P3O13 after structural relaxation, with properties calculated at the PBE with a Hubbard U level.

a b c (Å): 9.969 19.390 6.516
angles (deg): 90.00 107.17 90.00
Space group P2_1/c (No. 14)
Inequivalent atoms, fractional coordinates:
Tl: 0.144 0.159 0.459 (multiplicity 4)
Mo: 0.121 0.624 0.687 (multiplicity 4)
Mo: 0.439 0.161 0.113 (multiplicity 4)
P: 0.197 0.034 0.991 (multiplicity 4)
P: 0.208 0.590 0.234 (multiplicity 4)
P: 0.466 0.675 0.845 (multiplicity 4)
O: 0.071 0.708 0.686 (multiplicity 4)
O: 0.088 0.092 0.919 (multiplicity 4)
O: 0.122 0.599 0.997 (multiplicity 4)
O: 0.127 0.627 0.370 (multiplicity 4)
O: 0.165 0.516 0.649 (multiplicity 4)
O: 0.193 0.508 0.273 (multiplicity 4)
O: 0.287 0.209 0.044 (multiplicity 4)
O: 0.329 0.634 0.791 (multiplicity 4)
O: 0.344 0.066 0.072 (multiplicity 4)
O: 0.362 0.608 0.287 (multiplicity 4)
O: 0.433 0.747 0.329 (multiplicity 4)
O: 0.441 0.155 0.428 (multiplicity 4)
O: 0.448 0.153 0.806 (multiplicity 4)

Calculated values
The calculation puts the formation energy at -2.36 eV/atom.

***

Below is Li2FeCo3O8 after structural relaxation, with properties calculated at the PBE with a Hubbard U level.

a b c (Å): 8.075 8.075 8.075
angles (deg): 90.00 90.00 90.00
Space group P4_332 (No. 212)
Inequivalent atoms, fractional coordinates:
Li: 0.001 0.001 0.001 (multiplicity 8)
Fe: 0.125 0.875 0.375 (multiplicity 4)
Co: 0.124 0.126 0.625 (multiplicity 12)
O: 0.110 0.388 0.111 (multiplicity 24)
O: 0.112 0.612 0.888 (multiplicity 8)

Calculated values
For the energy relative to the lowest polymorph listed for this composition, the calculation gives 29 meV/atom. The calculation puts the formation energy at -1.54 eV/atom.

***

Below is EuAlInWO6 after structural relaxation, with properties calculated at the PBE with a Hubbard U level.

a b c (Å): 8.868 10.113 10.162
angles (deg): 90.00 90.00 90.00
Space group Pnnn (No. 48, origin choice 2)
Inequivalent atoms, fractional coordinates:
Eu: 0.250 0.250 0.250 (multiplicity 2)
Eu: 0.250 0.750 0.250 (multiplicity 2)
Al: 0.000 0.000 0.000 (multiplicity 4)
In: 0.250 0.250 0.750 (multiplicity 2)
In: 0.250 0.750 0.750 (multiplicity 2)
W: 0.000 0.000 0.500 (multiplicity 4)
O: 0.032 0.232 0.550 (multiplicity 8)
O: 0.068 0.046 0.268 (multiplicity 8)
O: 0.210 0.519 0.017 (multiplicity 8)

Calculated values
The calculation puts the formation energy at -1.10 eV/atom.